1.
Below is a relaxed Al24Tl10Cd7Si24O96 crystal, with properties calculated at the PBE level.

Output
- Crystal system: triclinic
- Space-group type: No. 1
- Energy of formation from the pure elements: -476.330 eV/f.u.

```
Al24Tl10Cd7Si24O96
1.0
17.790 0.000 0.000
8.890 15.415 0.000
8.890 -5.035 14.602
Al Tl Cd Si O
24 10 7 24 96
Direct
0.000 0.000 0.000
0.000 0.181 0.169
0.129 0.793 0.111
0.131 0.258 0.929
0.147 0.604 0.275
0.150 0.424 0.741
0.280 0.535 0.533
0.281 0.364 0.353
0.317 0.259 0.109
0.317 0.608 0.741
0.466 0.534 0.168
0.467 0.179 0.533
0.496 0.428 0.928
0.498 0.256 0.741
0.634 0.182 0.000
0.637 0.364 0.532
0.646 0.001 0.170
0.646 0.535 0.352
0.786 0.605 0.106
0.787 0.789 0.277
0.815 0.366 0.999
0.816 0.000 0.353
0.963 0.430 0.276
0.964 0.793 0.925
0.134 0.803 0.301
0.135 0.243 0.303
0.139 0.237 0.730
0.389 0.646 0.391
0.392 0.144 0.387
0.576 0.802 0.301
0.707 0.238 0.730
0.880 0.650 0.404
0.891 0.144 0.387
0.893 0.141 0.888
0.327 0.619 0.916
0.330 0.234 0.919
0.395 0.394 0.144
0.397 0.393 0.627
0.883 0.393 0.144
0.885 0.903 0.142
0.952 0.620 0.917
0.133 0.258 0.106
0.134 0.792 0.929
0.146 0.430 0.278
0.146 0.605 0.742
0.283 0.540 0.348
0.285 0.356 0.534
0.319 0.605 0.104
0.320 0.255 0.743
0.457 0.185 0.176
0.459 0.538 0.534
0.496 0.257 0.928
0.496 0.428 0.742
0.638 0.358 0.994
0.639 0.184 0.534
0.643 0.539 0.175
0.643 0.998 0.349
0.785 0.791 0.106
0.787 0.605 0.277
0.822 0.000 0.996
0.826 0.357 0.349
0.959 0.791 0.279
0.962 0.430 0.928
0.996 0.000 0.177
0.996 0.186 0.995
0.011 0.797 0.173
0.013 0.372 0.982
0.023 0.084 0.984
0.023 0.799 0.981
0.024 0.363 0.162
0.025 0.074 0.160
0.053 0.412 0.825
0.054 0.702 0.824
0.054 0.716 0.289
0.062 0.409 0.288
0.093 0.540 0.295
0.097 0.542 0.781
0.100 0.183 0.916
0.100 0.899 0.152
0.111 0.182 0.137
0.113 0.890 0.924
0.168 0.609 0.644
0.172 0.392 0.351
0.181 0.381 0.635
0.181 0.617 0.348
0.183 0.754 0.992
0.186 0.243 0.993
0.224 0.244 0.117
0.228 0.709 0.831
0.229 0.244 0.819
0.229 0.708 0.119
0.256 0.373 0.460
0.256 0.551 0.450
0.258 0.372 0.172
0.259 0.553 0.735
0.267 0.551 0.161
0.269 0.361 0.737
0.320 0.436 0.300
0.323 0.422 0.545
0.381 0.182 0.151
0.383 0.248 0.500
0.383 0.548 0.284
0.383 0.548 0.502
0.385 0.248 0.283
0.387 0.181 0.645
0.389 0.611 0.133
0.390 0.612 0.634
0.391 0.547 0.991
0.393 0.241 0.782
0.398 0.243 0.988
0.399 0.539 0.780
0.447 0.362 0.981
0.448 0.371 0.737
0.509 0.236 0.110
0.514 0.432 0.543
0.522 0.244 0.826
0.522 0.423 0.097
0.523 0.234 0.547
0.523 0.413 0.818
0.546 0.083 0.161
0.549 0.549 0.458
0.557 0.071 0.451
0.558 0.550 0.158
0.598 0.033 0.286
0.599 0.548 0.282
0.602 0.182 0.920
0.603 0.396 0.644
0.614 0.385 0.916
0.616 0.181 0.636
0.667 0.896 0.350
0.668 0.616 0.148
0.677 0.615 0.350
0.679 0.889 0.137
0.682 0.251 0.985
0.683 0.248 0.500
0.723 0.375 0.983
0.724 0.083 0.461
0.732 0.075 0.985
0.737 0.372 0.450
0.756 0.709 0.288
0.758 0.986 0.300
0.759 0.436 0.109
0.760 0.714 0.117
0.768 0.990 0.101
0.771 0.424 0.299
0.834 0.551 0.171
0.834 0.796 0.163
0.879 0.547 0.295
0.882 0.755 0.995
0.885 0.755 0.297
0.891 0.541 0.986
0.891 0.900 0.921
0.894 0.399 0.921
0.898 0.032 0.985
0.898 0.035 0.285
0.898 0.249 0.985
0.898 0.250 0.285
0.898 0.889 0.352
0.904 0.381 0.349
0.958 0.988 0.112
0.961 0.235 0.097
```

***

2.
Below is a relaxed Al8Zn3CdS16 crystal, with properties calculated at the PBE level.

Output
- Crystal system: trigonal
- Space-group type: No. 160
- Energy of formation from the pure elements: -35.814 eV/f.u.

```
Al8Zn3CdS16
1.0
3.593 2.075 11.725
-3.593 2.075 11.725
0.000 -4.149 11.725
Al Zn Cd S
8 3 1 16
Direct
0.000 0.000 0.000
0.250 0.250 0.749
0.250 0.749 0.250
0.251 0.750 0.750
0.500 0.500 0.500
0.749 0.250 0.250
0.750 0.251 0.750
0.750 0.750 0.251
0.312 0.312 0.312
0.687 0.687 0.687
0.812 0.812 0.812
0.187 0.187 0.187
0.110 0.110 0.650
0.110 0.650 0.110
0.117 0.117 0.117
0.150 0.610 0.610
0.351 0.889 0.889
0.380 0.380 0.380
0.397 0.397 0.838
0.397 0.838 0.397
0.610 0.150 0.610
0.610 0.610 0.150
0.621 0.621 0.621
0.650 0.110 0.110
0.838 0.397 0.397
0.880 0.880 0.880
0.889 0.351 0.889
0.889 0.889 0.351
```